No. 1
{
  "formula": "FeHO2",
  "functional": "PBE with a Hubbard U",
  "state": "optimized geometry",
  "vol_a3_per_atom": 11.5,
  "sg": "P1, No. 1",
  "final_energy_ev_per_fu": -23.51,
  "cell": [[-1.659, -4.921, -3.238], [9.076, 1.596, -5.371], [5.589, -6.156, 7.645]],
  "species": ["H", "H", "H", "H", "H", "H", "H", "H", "H", "H", "H", "H", "H", "H", "H", "H", "O", "O", "O", "O", "O", "O", "O", "O", "O", "O", "O", "O", "O", "O", "O", "O", "O", "O", "O", "O", "O", "O", "O", "O", "O", "O", "O", "O", "O", "O", "O", "O", "Fe", "Fe", "Fe", "Fe", "Fe", "Fe", "Fe", "Fe", "Fe", "Fe", "Fe", "Fe", "Fe", "Fe", "Fe", "Fe"],
  "frac_coords": [[0.699, 0.494, 0.041], [0.536, 0.370, 0.318], [0.263, 0.468, 0.924], [0.127, 0.327, 0.649], [0.764, 0.901, 0.842], [0.863, 0.806, 0.165], [0.999, 0.384, 0.315], [0.281, 0.899, 0.850], [0.960, 0.613, 0.616], [0.452, 0.601, 0.619], [0.321, 0.841, 0.167], [0.660, 0.137, 0.771], [0.312, 0.551, 0.242], [0.545, 0.003, 0.507], [0.199, 0.079, 0.104], [0.988, 0.975, 0.446], [0.232, 0.822, 0.547], [0.030, 0.042, 0.616], [0.967, 0.327, 0.658], [0.195, 0.216, 0.846], [0.505, 0.666, 0.927], [0.706, 0.805, 0.174], [0.748, 0.164, 0.412], [0.421, 0.281, 0.660], [0.712, 0.441, 0.827], [0.429, 0.693, 0.347], [0.483, 0.327, 0.014], [0.460, 0.935, 0.344], [0.727, 0.121, 0.181], [0.476, 0.651, 0.691], [0.284, 0.529, 0.157], [0.265, 0.783, 0.104], [0.003, 0.324, 0.250], [0.230, 0.464, 0.839], [0.222, 0.134, 0.173], [0.973, 0.657, 0.691], [0.735, 0.820, 0.536], [0.265, 0.849, 0.778], [0.533, 0.031, 0.591], [0.256, 0.166, 0.409], [0.508, 0.316, 0.248], [0.982, 0.948, 0.361], [0.694, 0.187, 0.843], [0.756, 0.852, 0.770], [0.981, 0.331, 0.020], [0.994, 0.664, 0.922], [0.976, 0.707, 0.338], [0.736, 0.542, 0.116], [0.233, 0.656, 0.820], [0.737, 0.291, 0.120], [0.453, 0.311, 0.830], [0.953, 0.322, 0.840], [0.284, 0.141, 0.574], [0.994, 0.860, 0.647], [0.514, 0.671, 0.096], [0.247, 0.329, 0.124], [0.706, 0.805, 0.359], [0.223, 0.808, 0.376], [0.978, 0.135, 0.304], [0.809, 0.174, 0.586], [0.737, 0.621, 0.818], [0.495, 0.120, 0.303], [0.028, 0.636, 0.098], [0.503, 0.841, 0.644]]
}


No. 2
{
  "formula": "Fe21HO32",
  "functional": "PBE with a Hubbard U",
  "state": "optimized geometry",
  "polymorph_energy_ev_per_fu": 11.66,
  "vol_a3_per_atom": 10.2,
  "sg": "Cmc2_1, No. 36",
  "cell": [[-0.502, -3.970, 7.141], [8.001, 1.215, 1.229], [-3.317, 14.133, 7.625]],
  "species": ["O", "O", "O", "O", "O", "O", "O", "O", "O", "O", "O", "O", "O", "O", "O", "O", "O", "O", "O", "O", "O", "O", "O", "O", "O", "O", "O", "O", "O", "O", "O", "O", "O", "O", "O", "O", "O", "O", "O", "O", "O", "O", "O", "O", "O", "O", "O", "O", "O", "O", "O", "O", "O", "O", "O", "O", "O", "O", "O", "O", "O", "O", "O", "O", "Fe", "Fe", "Fe", "Fe", "Fe", "Fe", "Fe", "Fe", "Fe", "Fe", "Fe", "Fe", "Fe", "Fe", "Fe", "Fe", "Fe", "Fe", "Fe", "Fe", "Fe", "Fe", "Fe", "Fe", "Fe", "Fe", "Fe", "Fe", "Fe", "Fe", "Fe", "Fe", "Fe", "Fe", "Fe", "Fe", "Fe", "Fe", "Fe", "Fe", "Fe", "Fe", "H", "H"],
  "frac_coords": [[0.643, 0.643, 0.941], [0.867, 0.136, 0.067], [0.117, 0.357, 0.322], [0.134, 0.134, 0.932], [0.886, 0.355, 0.178], [0.379, 0.640, 0.310], [0.112, 0.612, 0.944], [0.357, 0.357, 0.441], [0.357, 0.117, 0.322], [0.113, 0.113, 0.194], [0.136, 0.867, 0.067], [0.888, 0.113, 0.805], [0.115, 0.643, 0.179], [0.356, 0.645, 0.557], [0.355, 0.644, 0.057], [0.644, 0.644, 0.443], [0.883, 0.643, 0.822], [0.612, 0.112, 0.944], [0.645, 0.114, 0.678], [0.885, 0.357, 0.679], [0.113, 0.113, 0.695], [0.888, 0.611, 0.556], [0.113, 0.888, 0.805], [0.621, 0.621, 0.680], [0.357, 0.885, 0.679], [0.374, 0.374, 0.687], [0.389, 0.887, 0.944], [0.356, 0.115, 0.822], [0.621, 0.360, 0.810], [0.643, 0.115, 0.179], [0.114, 0.645, 0.678], [0.885, 0.644, 0.322], [0.887, 0.389, 0.944], [0.356, 0.356, 0.943], [0.626, 0.626, 0.187], [0.112, 0.389, 0.056], [0.611, 0.887, 0.056], [0.113, 0.611, 0.444], [0.360, 0.621, 0.810], [0.887, 0.887, 0.694], [0.355, 0.886, 0.178], [0.611, 0.113, 0.444], [0.388, 0.888, 0.444], [0.134, 0.134, 0.433], [0.113, 0.389, 0.556], [0.115, 0.356, 0.822], [0.866, 0.866, 0.933], [0.887, 0.611, 0.056], [0.888, 0.388, 0.444], [0.389, 0.113, 0.556], [0.611, 0.888, 0.556], [0.112, 0.887, 0.305], [0.866, 0.866, 0.432], [0.643, 0.883, 0.822], [0.379, 0.379, 0.180], [0.133, 0.864, 0.567], [0.644, 0.885, 0.322], [0.864, 0.133, 0.567], [0.887, 0.887, 0.195], [0.645, 0.356, 0.557], [0.644, 0.355, 0.057], [0.640, 0.379, 0.310], [0.389, 0.112, 0.056], [0.887, 0.112, 0.305], [0.871, 0.127, 0.187], [0.999, 0.999, 0.500], [0.998, 0.500, 0.250], [0.128, 0.625, 0.564], [0.625, 0.128, 0.564], [0.872, 0.374, 0.565], [0.127, 0.871, 0.187], [0.002, 0.500, 0.750], [0.500, 0.500, 0.502], [0.129, 0.873, 0.687], [0.747, 0.747, 0.127], [0.626, 0.128, 0.065], [0.128, 0.626, 0.065], [0.253, 0.253, 0.627], [0.375, 0.128, 0.936], [0.001, 0.001, 0.000], [0.750, 0.750, 0.625], [0.250, 0.250, 0.125], [0.872, 0.625, 0.436], [0.128, 0.375, 0.936], [0.500, 0.002, 0.750], [0.750, 0.249, 0.375], [0.516, 0.516, 0.758], [0.375, 0.872, 0.064], [0.484, 0.484, 0.258], [0.626, 0.872, 0.936], [0.249, 0.750, 0.375], [0.374, 0.128, 0.436], [0.500, 0.998, 0.250], [0.500, 0.500, 0.002], [0.250, 0.751, 0.875], [0.873, 0.129, 0.687], [0.873, 0.873, 0.813], [0.625, 0.872, 0.436], [0.872, 0.626, 0.936], [0.751, 0.250, 0.875], [0.128, 0.374, 0.436], [0.127, 0.127, 0.313], [0.871, 0.871, 0.313], [0.872, 0.375, 0.064], [0.374, 0.872, 0.565], [0.129, 0.129, 0.813], [0.622, 0.622, 0.811], [0.378, 0.378, 0.311]]
}


No. 3
{
  "formula": "Fe8H10O17",
  "functional": "PBE with a Hubbard U",
  "state": "optimized geometry",
  "polymorph_energy_ev_per_fu": 0.17,
  "vol_a3_per_atom": 9.8,
  "sg": "P1, No. 1",
  "cell": [[-5.604, -1.204, -2.243], [4.345, -3.236, -8.819], [0.342, -9.699, 4.615]],
  "species": ["H", "H", "H", "H", "H", "H", "H", "H", "H", "H", "H", "H", "H", "H", "H", "H", "H", "H", "H", "H", "Fe", "Fe", "Fe", "Fe", "Fe", "Fe", "Fe", "Fe", "Fe", "Fe", "Fe", "Fe", "Fe", "Fe", "Fe", "Fe", "O", "O", "O", "O", "O", "O", "O", "O", "O", "O", "O", "O", "O", "O", "O", "O", "O", "O", "O", "O", "O", "O", "O", "O", "O", "O", "O", "O", "O", "O", "O", "O", "O", "O"],
  "frac_coords": [[0.731, 0.122, 0.931], [0.990, 0.438, 0.392], [0.821, 0.525, 0.865], [0.161, 0.899, 0.140], [0.316, 0.600, 0.705], [0.506, 0.649, 0.472], [0.190, 0.091, 0.185], [0.878, 0.680, 0.801], [0.997, 0.998, 0.526], [0.492, 0.422, 0.398], [0.514, 0.560, 0.791], [0.746, 0.526, 0.076], [0.495, 0.031, 0.040], [0.526, 0.371, 0.640], [0.979, 0.662, 0.485], [0.495, 0.014, 0.570], [0.165, 0.952, 0.002], [0.711, 0.090, 0.174], [0.260, 0.498, 0.018], [0.984, 0.391, 0.663], [0.229, 0.701, 0.914], [0.743, 0.338, 0.196], [0.510, 0.854, 0.720], [0.245, 0.175, 0.682], [0.750, 0.842, 0.023], [0.245, 0.352, 0.196], [0.992, 0.169, 0.390], [0.740, 0.841, 0.414], [0.496, 0.329, 0.906], [0.001, 0.671, 0.201], [0.483, 0.678, 0.194], [0.251, 0.838, 0.420], [0.008, 0.857, 0.715], [0.011, 0.324, 0.910], [0.757, 0.169, 0.678], [0.490, 0.154, 0.387], [0.097, 0.967, 0.085], [0.985, 0.709, 0.024], [0.257, 0.815, 0.599], [0.460, 0.627, 0.738], [0.495, 0.968, 0.423], [0.017, 0.651, 0.765], [0.738, 0.152, 0.256], [0.747, 0.799, 0.223], [0.509, 0.313, 0.707], [0.256, 0.475, 0.925], [0.255, 0.209, 0.867], [0.995, 0.315, 0.711], [0.499, 0.044, 0.664], [0.989, 0.697, 0.403], [0.760, 0.456, 0.912], [0.743, 0.202, 0.501], [0.493, 0.721, 0.019], [0.493, 0.314, 0.085], [0.230, 0.156, 0.256], [0.993, 0.312, 0.087], [0.245, 0.542, 0.181], [0.741, 0.537, 0.169], [0.749, 0.819, 0.595], [0.001, 0.049, 0.671], [0.494, 0.355, 0.331], [0.651, 0.023, 0.053], [0.498, 0.696, 0.397], [0.746, 0.195, 0.874], [0.239, 0.802, 0.237], [0.991, 0.363, 0.332], [0.757, 0.856, 0.840], [0.259, 0.869, 0.844], [0.247, 0.202, 0.501], [0.997, 0.973, 0.431]]
}


No. 4
{
  "formula": "FeHO2",
  "functional": "PBE with a Hubbard U",
  "state": "optimized geometry",
  "vol_a3_per_atom": 10.2,
  "final_energy_ev_per_fu": -24.11,
  "cell": [[3.956, -0.024, 3.143], [-3.939, -0.022, 3.121], [0.005, -6.590, 1.610]],
  "species": ["O", "O", "O", "O", "O", "O", "O", "O", "Fe", "Fe", "Fe", "Fe", "H", "H", "H", "H"],
  "frac_coords": [[0.232, 0.982, 0.569], [0.338, 0.088, 0.168], [0.768, 0.018, 0.431], [0.268, 0.518, 0.431], [0.162, 0.412, 0.832], [0.732, 0.482, 0.569], [0.662, 0.912, 0.832], [0.838, 0.588, 0.168], [0.036, 0.786, 0.363], [0.464, 0.714, 0.637], [0.536, 0.286, 0.363], [0.964, 0.214, 0.637], [0.377, 0.127, 0.020], [0.877, 0.627, 0.020], [0.123, 0.373, 0.980], [0.623, 0.873, 0.980]]
}